Entry 1:
Crystalline SrMgSn at its relaxed geometry, computed with r2SCAN.

Computed properties:
- Calculated total energy: -15.339 eV per atom

a = 8.220 Å, b = 4.874 Å, c = 8.878 Å
α = 90.00°, β = 90.00°, γ = 90.00°
Space group Pnma (No. 62)
Inequivalent atoms, fractional coordinates:
Sr 0.012 0.250 0.189 [4 per cell]
Mg 0.147 0.250 0.566 [4 per cell]
Sn 0.222 0.750 0.392 [4 per cell]



Entry 2:
Crystalline Si at its relaxed geometry, computed with r2SCAN.

Computed properties:
- Polymorph energy (0 for the lowest one): 0.66 eV/f.u.
- Calculated total energy: -8.109 eV per atom

a = 3.293 Å, b = 9.151 Å, c = 3.999 Å
α = 90.00°, β = 90.00°, γ = 90.00°
Space group Cmcm (No. 63)
Inequivalent atoms, fractional coordinates:
Si 0.000 0.112 0.250 [4 per cell]
Si 0.000 0.387 0.250 [4 per cell]



Entry 3:
Crystalline TmB4Ir4 at its relaxed geometry, computed with r2SCAN.

Computed properties:
- Calculated total energy: -30.995 eV per atom

a = 5.374 Å, b = 5.374 Å, c = 7.409 Å
α = 90.00°, β = 90.00°, γ = 90.00°
Space group P4_2/nmc (No. 137, origin choice 2)
Inequivalent atoms, fractional coordinates:
Tm 0.250 0.750 0.250 [2 per cell]
B 0.077 0.250 0.097 [8 per cell]
Ir 0.001 0.750 0.605 [8 per cell]



Entry 4:
Crystalline SiO2 at its relaxed geometry, computed with r2SCAN.

Computed properties:
- Calculated total energy: -9.921 eV per atom

a = 7.122 Å, b = 7.122 Å, c = 17.770 Å
α = 90.00°, β = 90.00°, γ = 90.00°
Space group I4_1/amd (No. 141, origin choice 2)
Inequivalent atoms, fractional coordinates:
Si 0.000 0.030 0.090 [16 per cell]
O 0.000 0.000 0.000 [8 per cell]
O 0.000 0.250 0.109 [8 per cell]
O 0.186 0.064 0.875 [16 per cell]



Entry 5:
Crystalline NdHo3 at its relaxed geometry, computed with r2SCAN.

Computed properties:
- Polymorph energy (0 for the lowest one): 0.17 eV/f.u.
- Calculated total energy: -31.969 eV per atom

a = 5.052 Å, b = 5.052 Å, c = 10.073 Å
α = 90.00°, β = 90.00°, γ = 90.00°
Space group I4/mmm (No. 139)
Inequivalent atoms, fractional coordinates:
Nd 0.000 0.000 0.000 [2 per cell]
Ho 0.000 0.000 0.500 [2 per cell]
Ho 0.000 0.500 0.250 [4 per cell]



Entry 6:
Crystalline Al2H12Se3O15 at its relaxed geometry, computed with r2SCAN.

Computed properties:
- Calculated total energy: -7.224 eV per atom

a = 8.7189 Å, b = 8.7189 Å, c = 10.7400 Å
α = 90.00°, β = 90.00°, γ = 120.00°
Space group P-62c (No. 190)
Inequivalent atoms, fractional coordinates:
Al 0.3333 0.6667 0.0311 [4 per cell]
H 0.0551 0.4805 0.5961 [12 per cell]
H 0.1985 0.4223 0.6374 [12 per cell]
Se 0.1234 0.7430 0.2500 [6 per cell]
O 0.0936 0.7673 0.7500 [6 per cell]
O 0.1326 0.6192 0.1274 [12 per cell]
O 0.1652 0.4818 0.5716 [12 per cell]



Entry 7:
Crystalline Y2O3 at its relaxed geometry, computed with r2SCAN.

Computed properties:
- Calculated total energy: -15.555 eV per atom

a = 3.6557 Å, b = 3.6557 Å, c = 5.8411 Å
α = 90.00°, β = 90.00°, γ = 120.00°
Space group P-3m1 (No. 164)
Inequivalent atoms, fractional coordinates:
Y 0.3333 0.6667 0.2491 [2 per cell]
O 0.0000 0.0000 0.0000 [1 per cell]
O 0.3333 0.6667 0.6467 [2 per cell]



Entry 8:
Crystalline PmTh3 at its relaxed geometry, computed with r2SCAN.

Computed properties:
- Calculated total energy: -62.431 eV per atom

a = 5.073 Å, b = 5.073 Å, c = 5.073 Å
α = 90.00°, β = 90.00°, γ = 90.00°
Space group Pm-3m (No. 221)
Inequivalent atoms, fractional coordinates:
Pm 0.000 0.000 0.000 [1 per cell]
Th 0.000 0.500 0.500 [3 per cell]